Record 1
Sr3Ca5Mn4Fe4O20 | the Materials Project database | PBE with a Hubbard U | relaxed; formation energy = -2.44 eV/atom; total DFT energy (no corrections) = -6.75 eV/atom
1.0
10.9954 0.0000 0.0000
-0.0006 11.1595 0.0000
-5.4936 -5.5788 15.6542
Sr Ca Mn Fe O
12 20 16 16 80
Direct
0.0000 0.0000 0.0000
0.0000 0.4998 0.0022
0.1406 0.1404 0.2829
0.2500 0.7596 0.0026
0.3877 0.3968 0.7780
0.4992 0.4995 0.0022
0.6376 0.6371 0.7775
0.6394 0.1397 0.2819
0.7483 0.7592 0.0010
0.7494 0.2573 0.0022
0.8886 0.8981 0.7771
0.8912 0.8990 0.2840
0.0003 0.9930 0.5006
0.1397 0.6350 0.7831
0.1412 0.1357 0.7830
0.1440 0.6378 0.2881
0.2474 0.2590 0.9976
0.2494 0.2624 0.4984
0.2491 0.7617 0.4983
0.3883 0.9045 0.7827
0.3920 0.4055 0.2858
0.3929 0.9054 0.2874
0.4957 0.9939 0.9957
0.4981 0.4919 0.4968
0.4987 0.9934 0.4993
0.6405 0.1365 0.7831
0.6422 0.6376 0.2870
0.7474 0.7615 0.4974
0.7496 0.2630 0.4990
0.8903 0.4027 0.7829
0.8929 0.4066 0.2882
0.9984 0.4933 0.4990
0.0841 0.2946 0.6387
0.0906 0.3019 0.1428
0.0905 0.7969 0.6404
0.0924 0.7949 0.1465
0.3336 0.6032 0.6379
0.3360 0.0961 0.6390
0.3381 0.5975 0.1457
0.3395 0.1037 0.1411
0.5818 0.7970 0.6365
0.5829 0.7984 0.1441
0.5838 0.2998 0.1429
0.5902 0.2912 0.6394
0.8342 0.1071 0.1443
0.8369 0.5984 0.1449
0.8384 0.1030 0.6395
0.8389 0.5982 0.6382
0.1916 0.4463 0.8879
0.1935 0.9485 0.8892
0.1938 0.4510 0.3938
0.1953 0.9501 0.3944
0.4412 0.6985 0.8882
0.4421 0.1973 0.8900
0.4429 0.6999 0.3924
0.4451 0.2003 0.3944
0.6909 0.9483 0.8886
0.6927 0.4463 0.8882
0.6935 0.4505 0.3936
0.6938 0.9503 0.3944
0.9423 0.1985 0.8875
0.9431 0.6965 0.8882
0.9441 0.6996 0.3946
0.9447 0.2009 0.3951
0.0037 0.7927 0.5276
0.0087 0.1408 0.1417
0.0112 0.2828 0.0254
0.0125 0.7792 0.0291
0.0171 0.1244 0.6404
0.0174 0.6341 0.1516
0.0190 0.6286 0.6407
0.0630 0.3172 0.8783
0.0638 0.3220 0.3848
0.0667 0.8154 0.8802
0.0675 0.8161 0.3847
0.0713 0.5753 0.8946
0.0742 0.5810 0.4038
0.0759 0.0819 0.8966
0.0778 0.0836 0.4079
0.1213 0.4036 0.7538
0.1205 0.4079 0.2578
0.1226 0.9048 0.2590
0.1245 0.9070 0.7548
0.2491 0.4901 0.5266
0.2550 0.9996 0.0261
0.2560 0.9852 0.5262
0.2582 0.2584 0.6321
0.2594 0.4957 0.0277
0.2676 0.7742 0.6391
0.2696 0.2738 0.1434
0.2705 0.7696 0.1507
0.3109 0.3160 0.8822
0.3136 0.8197 0.3800
0.3144 0.8210 0.8792
0.3172 0.3238 0.3836
0.3205 0.5762 0.8957
0.3242 0.5802 0.4045
0.3248 0.0774 0.9013
0.3274 0.0792 0.4054
0.3668 0.1090 0.7552
0.3666 0.6018 0.2587
0.3696 0.6143 0.7534
0.3750 0.1060 0.2560
0.5001 0.7960 0.5244
0.5041 0.2936 0.5276
0.5053 0.7886 0.0271
0.5062 0.6274 0.6313
0.5076 0.2859 0.0267
0.5127 0.1262 0.1348
0.5153 0.6324 0.1500
0.5174 0.1256 0.6404
0.5624 0.8176 0.3806
0.5618 0.8217 0.8822
0.5631 0.3214 0.3842
0.5666 0.3143 0.8813
0.5682 0.0744 0.8959
0.5718 0.5772 0.8961
0.5750 0.5825 0.4040
0.5756 0.0820 0.4060
0.6125 0.4057 0.2576
0.6183 0.9007 0.7535
0.6200 0.9042 0.2589
0.6221 0.3963 0.7537
0.7520 0.0059 0.0274
0.7526 0.9892 0.5277
0.7550 0.4877 0.5259
0.7570 0.7583 0.6323
0.7569 0.7592 0.1429
0.7622 0.4997 0.0269
0.7644 0.2765 0.1514
0.7699 0.2722 0.6392
0.8130 0.8188 0.3853
0.8141 0.3191 0.8791
0.8161 0.3236 0.3830
0.8164 0.8219 0.8845
0.8191 0.0766 0.8941
0.8227 0.5733 0.8944
0.8244 0.5785 0.4040
0.8267 0.0795 0.4067
0.8661 0.6061 0.2591
0.8683 0.1131 0.7537
0.8726 0.6098 0.7540
0.8743 0.1110 0.2585
0.9986 0.2953 0.5269

---

Record 2
SrCa7Mn7FeO20 | the Materials Project database | PBE with a Hubbard U | relaxed; formation energy = -2.53 eV/atom; total DFT energy (no corrections) = -6.97 eV/atom
1.0
10.9062 0.0000 0.0000
-0.0208 11.1363 0.0000
-5.4167 -5.5513 15.3690
Sr Ca Mn Fe O
4 28 28 4 80
Direct
0.0000 0.0000 0.0000
0.1123 0.0995 0.7228
0.6103 0.0991 0.7224
0.8604 0.3613 0.7215
0.0015 0.0049 0.5033
0.0016 0.5062 0.5039
0.0018 0.5073 0.0059
0.1088 0.5942 0.2199
0.1091 0.5958 0.7182
0.1101 0.0956 0.2209
0.2522 0.2366 0.5040
0.2516 0.7364 0.5036
0.2524 0.7370 0.0048
0.2528 0.2382 0.0065
0.3577 0.8613 0.7180
0.3582 0.8626 0.2191
0.3599 0.3640 0.2204
0.3599 0.3635 0.7181
0.5009 0.0055 0.5032
0.5007 0.5061 0.0043
0.5025 0.0061 0.0032
0.5016 0.5055 0.5036
0.6085 0.5959 0.7184
0.6089 0.5935 0.2196
0.6097 0.0942 0.2199
0.7504 0.2365 0.5033
0.7500 0.7373 0.0043
0.7508 0.2381 0.0060
0.7514 0.7359 0.5028
0.8573 0.8593 0.7159
0.8590 0.3646 0.2203
0.8585 0.8639 0.2202
0.0577 0.2996 0.6092
0.0585 0.7985 0.6101
0.0590 0.3013 0.1129
0.1640 0.3968 0.3625
0.1636 0.8972 0.3619
0.1668 0.8927 0.8604
0.1691 0.4022 0.8639
0.3071 0.0489 0.6098
0.3082 0.5500 0.6108
0.3096 0.0505 0.1122
0.4123 0.2040 0.3610
0.4133 0.7013 0.8608
0.4135 0.7030 0.3622
0.4171 0.2029 0.8630
0.5564 0.3003 0.6094
0.5575 0.7987 0.6103
0.6604 0.8933 0.8607
0.6621 0.4015 0.8636
0.6630 0.8961 0.3608
0.6648 0.3966 0.3617
0.8063 0.0472 0.6084
0.8074 0.5501 0.6095
0.8084 0.0511 0.1125
0.8085 0.5508 0.1120
0.9126 0.2051 0.3621
0.9131 0.7015 0.8598
0.9134 0.7031 0.3614
0.9161 0.2054 0.8642
0.0584 0.8008 0.1132
0.3086 0.5503 0.1129
0.5584 0.8003 0.1115
0.5592 0.2999 0.1120
0.0018 0.2120 0.9809
0.1300 0.3901 0.7444
0.1314 0.3950 0.2447
0.1333 0.8850 0.7414
0.1326 0.8962 0.2454
0.1752 0.4191 0.1010
0.1749 0.9176 0.5961
0.1761 0.4210 0.5991
0.1819 0.9211 0.1022
0.1868 0.6792 0.1247
0.1887 0.1807 0.6200
0.1886 0.6783 0.6230
0.1929 0.1800 0.1265
0.2273 0.2248 0.3618
0.2299 0.7214 0.8618
0.2298 0.7259 0.3616
0.2361 0.2391 0.8704
0.2482 0.0120 0.9795
0.2489 0.0108 0.4793
0.2497 0.5125 0.4808
0.2504 0.5138 0.9785
0.3741 0.0874 0.7417
0.3797 0.5889 0.7427
0.3824 0.0890 0.2442
0.3835 0.5884 0.2467
0.4243 0.9149 0.5973
0.4251 0.4160 0.0984
0.4254 0.4185 0.5984
0.4264 0.9189 0.0988
0.4335 0.1834 0.6204
0.4385 0.1797 0.1248
0.4379 0.6813 0.6237
0.4390 0.6836 0.1249
0.4749 0.8731 0.8605
0.4772 0.3723 0.3619
0.4784 0.3759 0.8614
0.4792 0.8738 0.3613
0.4964 0.2068 0.4768
0.4974 0.7063 0.4791
0.5002 0.7059 0.9779
0.5058 0.2035 0.9804
0.6262 0.3911 0.7436
0.6294 0.8835 0.7417
0.6339 0.3952 0.2433
0.6338 0.8952 0.2456
0.6736 0.4216 0.5971
0.6751 0.9170 0.5967
0.6772 0.9225 0.0998
0.6781 0.4227 0.0988
0.6831 0.1762 0.6162
0.6874 0.6790 0.6220
0.6895 0.6801 0.1244
0.6917 0.1787 0.1258
0.7265 0.7269 0.3612
0.7281 0.7245 0.8622
0.7292 0.2233 0.3617
0.7369 0.2368 0.8693
0.7441 0.0110 0.9775
0.7470 0.0077 0.4763
0.7497 0.5135 0.4807
0.7498 0.5158 0.9814
0.8751 0.0929 0.7443
0.8784 0.5936 0.7417
0.8812 0.5885 0.2433
0.8820 0.0906 0.2472
0.9235 0.9191 0.1026
0.9241 0.9146 0.5976
0.9248 0.4213 0.0997
0.9260 0.4192 0.5977
0.9351 0.1788 0.6165
0.9369 0.6814 0.1250
0.9384 0.6816 0.6227
0.9385 0.1856 0.1265
0.9777 0.3735 0.3620
0.9779 0.8646 0.8534
0.9781 0.8733 0.3617
0.9887 0.3756 0.8687
0.9992 0.2077 0.4777
0.9989 0.7054 0.4787
0.9989 0.7098 0.9783

---

Record 3
Sr5Ca3Mn7FeO20 | the Materials Project database | PBE with a Hubbard U | relaxed; formation energy = -2.52 eV/atom; total DFT energy (no corrections) = -6.92 eV/atom
1.0
11.0158 0.0000 0.0000
0.0140 11.1181 0.0000
5.4701 5.5428 15.9668
Sr Ca Mn Fe O
20 12 28 4 80
Direct
0.0000 0.0000 0.0000
0.9999 0.4988 0.0005
0.1398 0.1395 0.2218
0.1406 0.6392 0.2211
0.1426 0.6409 0.7170
0.2506 0.2578 0.0008
0.2510 0.7575 0.9993
0.3902 0.3972 0.2216
0.3904 0.8975 0.2215
0.3922 0.3998 0.7171
0.5005 0.9994 0.0001
0.5007 0.5005 0.9994
0.6405 0.6383 0.2218
0.6424 0.1397 0.7163
0.7498 0.2564 0.0015
0.7505 0.7577 0.0010
0.8892 0.8982 0.2218
0.8895 0.3958 0.2223
0.8919 0.4014 0.7171
0.8935 0.9003 0.7166
0.0003 0.4922 0.5036
0.0004 0.9914 0.5036
0.1454 0.1383 0.7127
0.2492 0.7626 0.5039
0.2504 0.2626 0.5039
0.3939 0.9070 0.7118
0.4995 0.4910 0.5033
0.4998 0.9919 0.5032
0.6420 0.1377 0.2167
0.6437 0.6394 0.7128
0.7498 0.2614 0.5047
0.7500 0.7612 0.5045
0.0881 0.2915 0.3664
0.0888 0.7925 0.3650
0.0901 0.2944 0.8571
0.0940 0.8010 0.8559
0.1953 0.9483 0.1105
0.1955 0.4486 0.1106
0.1957 0.4507 0.6061
0.1971 0.9520 0.6057
0.3377 0.0993 0.8561
0.3394 0.6004 0.3645
0.3436 0.1013 0.3629
0.3455 0.6075 0.8525
0.4452 0.1982 0.1116
0.4453 0.6983 0.1107
0.5871 0.7963 0.3663
0.5888 0.2905 0.3648
0.5891 0.2993 0.8580
0.5891 0.7964 0.8549
0.6947 0.4467 0.1121
0.6950 0.9480 0.1118
0.6966 0.4523 0.6051
0.8351 0.0979 0.3663
0.8381 0.6036 0.8578
0.8387 0.6012 0.3645
0.8445 0.1037 0.8545
0.9441 0.1979 0.1119
0.9459 0.6987 0.1105
0.9457 0.7003 0.6060
0.4452 0.1999 0.6059
0.4460 0.7003 0.6068
0.6953 0.9491 0.6066
0.9479 0.2011 0.6055
0.0024 0.7966 0.4729
0.0039 0.2934 0.4767
0.0078 0.1248 0.3703
0.0091 0.2798 0.9702
0.0098 0.6243 0.3698
0.0111 0.6392 0.8573
0.0160 0.7824 0.9704
0.0210 0.1306 0.8497
0.0685 0.8207 0.1156
0.0686 0.3211 0.1147
0.0705 0.3201 0.6157
0.0700 0.8235 0.6122
0.0728 0.0762 0.1066
0.0736 0.5760 0.1062
0.0765 0.5837 0.5942
0.0809 0.0825 0.5957
0.1214 0.4030 0.7465
0.1233 0.9080 0.7435
0.1241 0.3877 0.2524
0.1240 0.8892 0.2513
0.2536 0.4878 0.4715
0.2595 0.9897 0.4719
0.2599 0.7638 0.3699
0.2612 0.2610 0.3696
0.2611 0.2643 0.8578
0.2623 0.0037 0.9697
0.2661 0.5101 0.9663
0.2723 0.7756 0.8487
0.3144 0.3193 0.6162
0.3179 0.8266 0.6160
0.3194 0.3223 0.1150
0.3189 0.8220 0.1150
0.3238 0.0755 0.1060
0.3236 0.5755 0.1062
0.3256 0.0780 0.5978
0.3260 0.5783 0.5949
0.3713 0.1093 0.7411
0.3737 0.1177 0.2497
0.3739 0.6133 0.7397
0.3742 0.6179 0.2507
0.4989 0.2907 0.4752
0.5013 0.7930 0.4778
0.5092 0.1374 0.8565
0.5099 0.6265 0.3698
0.5108 0.7813 0.9683
0.5127 0.2819 0.9721
0.5194 0.1215 0.3624
0.5214 0.6301 0.8497
0.5652 0.8165 0.6196
0.5685 0.3157 0.1196
0.5686 0.3217 0.6129
0.5688 0.8204 0.1153
0.5734 0.5751 0.1062
0.5735 0.0761 0.1080
0.5748 0.0801 0.5966
0.5789 0.5809 0.5960
0.6233 0.8961 0.2527
0.6227 0.9024 0.7412
0.6243 0.4072 0.7448
0.6246 0.3917 0.2522
0.7496 0.9856 0.4764
0.7535 0.4892 0.4723
0.7590 0.7632 0.3698
0.7595 0.2634 0.3711
0.7603 0.7670 0.8577
0.7613 0.2631 0.8574
0.7620 0.5025 0.9708
0.7675 0.0059 0.9683
0.8148 0.3175 0.1190
0.8161 0.8170 0.6155
0.8175 0.3259 0.6125
0.8185 0.8215 0.1161
0.8207 0.0755 0.1087
0.8241 0.5748 0.1059
0.8254 0.5802 0.5955
0.8289 0.0784 0.5952
0.8710 0.1177 0.2521
0.8707 0.6149 0.7442
0.8742 0.6175 0.2508
0.8757 0.1180 0.7394